Computed, not measured: a geometry-optimized ZnBP2PbO9 structure at the GGA-PBE level of DFT.

Cell: 5.3308 7.9986 8.2984 Å, 89.31 79.47 88.03°
Closest atoms and distances in Å follow each position.
Atoms (fractional coordinates):
O1 0.4472 0.6209 0.1877  1 P 1.54
B1 0.1148 0.2531 0.4563  4 O 1.45-1.49
O2 0.9469 0.8750 0.6547  1 B 1.47, 1 P 1.59
Pb1 0.2709 0.6969 0.9097  5 O 2.53-2.77
O3 0.8660 0.3172 0.5475  1 B 1.48, 1 P 1.56
P1 0.8004 0.4328 0.7000  4 O 1.54-1.58
Pb2 0.7291 0.3031 0.0903  5 O 2.53-2.77
O4 0.2680 0.3873 0.3636  1 B 1.49, 1 P 1.58
Zn1 0.2771 0.1957 0.7970  5 O 2.01-2.18
P2 0.2301 0.0623 0.1801  4 O 1.53-1.59
O5 0.1340 0.6828 0.4525  1 B 1.48, 1 P 1.56
B2 0.8852 0.7469 0.5437  4 O 1.45-1.49
O6 0.9798 0.5630 0.2025  1 P 1.54
O7 0.7117 0.8212 0.4455  1 B 1.45
O8 0.7320 0.6127 0.6364  1 B 1.49, 1 P 1.58
O9 0.0531 0.1250 0.3453  1 B 1.47, 1 P 1.59
O10 0.2240 0.2113 0.0572  1 P 1.56
O11 0.5528 0.3791 0.8123  1 P 1.54
P3 0.1996 0.5672 0.3000  4 O 1.54-1.58
Zn2 0.7229 0.8043 0.2030  5 O 2.01-2.18
O12 0.4903 0.9714 0.8002  1 P 1.54
O13 0.2883 0.1788 0.5545  1 B 1.45
O14 0.5097 0.0286 0.1998  1 P 1.54
O15 0.0202 0.4370 0.7975  1 P 1.54
O16 0.7760 0.7887 0.9428  1 P 1.56
O17 0.8979 0.0940 0.8668  1 P 1.53
P4 0.7699 0.9377 0.8199  4 O 1.53-1.59
O18 0.1021 0.9060 0.1332  1 P 1.53

## Properties
Symmetry = No. 2
DFT total energy = -6.685 eV/atom
Crystal system = triclinic
Formation energy from the elements = -2.34 eV/atom


Computed, not measured: a geometry-optimized TmCd2 structure at the GGA-PBE level of DFT.

Cell: 5.4062 5.4062 3.2012 Å, 90.00 90.00 120.00°
Closest atoms and distances in Å follow each position.
Atoms (fractional coordinates):
Tm1 0.0000 0.0000 0.0000  6 Cd 3.12, 2 Tm 3.20
Cd1 0.3333 0.6667 0.0472  3 Tm 3.12, 5 Cd 3.14-3.20
Cd2 0.6667 0.3333 0.9528  3 Tm 3.12, 5 Cd 3.14-3.20

## Properties
Symmetry = No. 164
DFT total energy = -1.972 eV/atom
Crystal system = trigonal
Formation energy from the elements = 0.14 eV/atom


Computed, not measured: a geometry-optimized Na6Ca6SiGe2S11O48 structure at the GGA-PBE level of DFT.

Cell: 18.0876 9.0169 23.8117 Å, 90.00 90.16 119.71°
Closest atoms and distances in Å follow each position.
Atoms (fractional coordinates):
S1 0.4936 0.6973 0.7512  4 O 1.45-1.54
Na1 0.3348 0.9639 0.5918  5 O 2.36-2.46
Na2 0.0089 0.9961 0.4957  2 O 2.45-2.57
S2 0.6513 0.9865 0.2553  4 O 1.46-1.54
Na3 0.5114 0.0140 0.5007  6 O 2.71-2.80
O1 0.0095 0.1974 0.1932  1 S 1.54
O2 0.4300 0.5464 0.0334  1 S 1.48
Na4 0.3341 0.6957 0.0821  4 O 2.39-2.64
S3 0.0159 0.6664 0.4151  4 O 1.47-1.49
O3 0.2498 0.3626 0.4201  1 S 1.50
S4 0.0010 0.2892 0.2450  4 O 1.45-1.54
O4 0.0664 0.6726 0.4646  1 S 1.47
S5 0.5076 0.3192 0.2553  4 O 1.46-1.54
O5 0.9251 0.3137 0.5369  1 S 1.46
O6 0.1758 0.4705 0.3672  1 S 1.47
O7 0.6750 0.4860 0.3570  1 S 1.56
S6 0.8417 0.0275 0.0877  4 O 1.45-1.56
O8 0.6592 0.8256 0.2639  1 S 1.54
S7 0.1507 0.2895 0.7506  4 O 1.45-1.54
Ca1 0.3349 0.3317 0.4827  6 O 2.18-2.39
O9 0.9112 0.7914 0.3037  1 Si 1.57
Ca2 0.1600 0.6677 0.0101  6 O 2.28-2.46
O10 0.9257 0.0201 0.0945  1 S 1.56
O11 0.5047 0.7926 0.6998  1 S 1.45
O12 0.2565 0.8472 0.0791  1 S 1.51
O13 0.9151 0.8484 0.9046  1 S 1.57
S8 0.3171 0.9638 0.4186  4 O 1.47-1.50
O14 0.3958 0.7817 0.3020  1 S 1.48
O15 0.1886 0.8770 0.5846  1 S 1.50
S9 0.9928 0.6961 0.7507  4 O 1.45-1.55
S10 0.6519 0.2909 0.7499  4 O 1.45-1.54
O16 0.4834 0.1745 0.5906  1 S 1.49
Na5 0.6657 0.6737 0.1618  6 O 2.60-2.82
Ca3 0.8327 0.3394 0.4793  6 O 2.21-2.41
S11 0.9863 0.6574 0.0899  4 O 1.47-1.55
Na6 0.1670 0.6656 0.6749  6 O 2.52-2.78
Ca4 0.6681 0.6704 0.8157  6 O 2.22-2.31
Na7 0.8326 0.3321 0.8337  6 O 2.55-2.68
O17 0.7510 0.6821 0.2619  1 Si 1.70, 1 Ge 1.80
O18 0.7757 0.6648 0.8622  1 S 1.45
O19 0.0601 0.4847 0.5858  1 S 1.48
Na8 0.6871 0.3712 0.2471  3 O 2.25-2.49
O20 0.7297 0.3232 0.0361  1 S 1.48
S12 0.4769 0.3322 0.5878  4 O 1.46-1.51
S13 0.6581 0.9709 0.9119  4 O 1.46-1.53
O21 0.8895 0.9835 0.6863  1 Si 1.62
O22 0.3463 0.1890 0.7453  1 Si 1.71, 1 Ge 1.80
O23 0.1686 0.4798 0.0808  1 S 1.51
S14 0.3266 0.6825 0.9140  4 O 1.46-1.56
Ca5 0.1598 0.6575 0.5191  6 O 2.19-2.37
O24 0.8477 0.1947 0.7440  1 Si 1.70, 1 Ge 1.80
S15 0.3321 0.0248 0.0834  4 O 1.47-1.51
Na9 0.8368 0.3389 0.3345  6 O 2.56-2.85
O25 0.9186 0.0474 0.8038  1 Si 1.73, 1 Ge 1.78
O26 0.1031 0.2123 0.6994  1 S 1.45
Na10 0.3331 0.3312 0.8333  6 O 2.53-2.69
Na11 0.9917 0.6372 0.2529  4 O 2.42-2.69
O27 0.0943 0.1967 0.4150  1 S 1.47
O28 0.0042 0.7920 0.6995  1 S 1.45
O29 0.4811 0.7806 0.8020  1 S 1.50
O30 0.8247 0.5200 0.6393  1 S 1.51
O31 0.3905 0.9868 0.6868  1 Si 1.59
O32 0.1054 0.0206 0.2970  1 S 1.46
Ca6 0.1691 0.6722 0.8155  6 O 2.20-2.33
O33 0.7695 0.8529 0.0812  1 S 1.47
O34 0.2631 0.6825 0.2517  1 S 1.49
O35 0.5646 0.4188 0.9636  1 S 1.47
O36 0.5699 0.6579 0.0780  1 S 1.48
O37 0.8381 0.5376 0.5362  1 S 1.46
O38 0.3398 0.5243 0.2478  1 S 1.48
O39 0.6617 0.4625 0.7561  1 S 1.47
Si1 0.3538 0.0072 0.7449  4 O 1.59-1.74
O40 0.7331 0.1451 0.9178  1 S 1.49
O41 0.2121 0.2946 0.0355  1 S 1.48
Ca7 0.3285 0.3243 0.9836  6 O 2.24-2.41
Na12 0.1685 0.6701 0.1650  6 O 2.60-2.65
S16 0.8266 0.6828 0.9119  4 O 1.45-1.57
O42 0.1678 0.8849 0.8627  1 S 1.46
O43 0.0094 0.1705 0.9062  1 S 1.56
O44 0.2762 0.8683 0.4707  1 S 1.48
O45 0.4083 0.0011 0.0873  1 S 1.50
O46 0.3399 0.5346 0.9183  1 S 1.47
O47 0.1062 0.0238 0.5908  1 S 1.47
O48 0.4273 0.3180 0.9172  1 S 1.47
O49 0.9812 0.1746 0.5918  1 S 1.48
Ca8 0.8346 0.3332 0.9851  6 O 2.22-2.41
O50 0.8416 0.5371 0.9181  1 S 1.48
O51 0.0079 0.8221 0.4165  1 S 1.48
S17 0.1687 0.3699 0.4178  4 O 1.47-1.50
S18 0.1570 0.9712 0.9112  4 O 1.46-1.53
O52 0.6096 0.0129 0.3036  1 S 1.46
S19 0.4829 0.6340 0.0833  4 O 1.47-1.50
Ca9 0.5022 0.9960 0.6520  6 O 2.15-2.32
O53 0.5094 0.8179 0.4092  1 S 1.50
O54 0.2267 0.1430 0.2381  1 S 1.47
O55 0.7684 0.8594 0.4666  1 S 1.46
O56 0.5673 0.6519 0.3611  1 S 1.51
O57 0.6039 0.2134 0.6989  1 S 1.45
Ca10 0.6607 0.6557 0.5211  6 O 2.22-2.35
O58 0.5695 0.6815 0.4640  1 S 1.47
O59 0.4189 0.0450 0.8034  1 Si 1.74, 1 Ge 1.78
O60 0.0828 0.9765 0.1944  1 S 1.53
O61 0.3382 0.1234 0.0329  1 S 1.47
O62 0.3263 0.5224 0.6345  1 S 1.48
O63 0.4014 0.9689 0.4151  1 S 1.50
S20 0.0146 0.3478 0.9120  4 O 1.45-1.56
O64 0.9918 0.8333 0.0963  1 S 1.55
O65 0.4115 0.5232 0.7469  1 S 1.54
O66 0.2320 0.1448 0.9165  1 S 1.48
S21 0.6670 0.3820 0.4112  4 O 1.46-1.56
O67 0.9945 0.1960 0.2960  1 S 1.45
O68 0.8917 0.8256 0.1940  1 Si 1.70, 1 Ge 1.77
S22 0.8330 0.6219 0.5873  4 O 1.46-1.51
O69 0.2283 0.3446 0.1364  1 S 1.47
O70 0.0657 0.6671 0.7571  1 S 1.47
O71 0.2607 0.8494 0.7539  1 Si 1.59
O72 0.4282 0.3158 0.5367  1 S 1.46
Ge1 0.3352 0.3197 0.6926  1 O 1.80
O73 0.1636 0.4566 0.4688  1 S 1.47
O74 0.8558 0.1289 0.0363  1 S 1.47
S23 0.5224 0.6665 0.4122  4 O 1.47-1.51
O75 0.8328 0.1082 0.1382  1 S 1.45
S24 0.3334 0.6265 0.5846  4 O 1.48-1.50
S25 0.9747 0.3318 0.5876  4 O 1.46-1.53
O76 0.4328 0.3408 0.2492  1 S 1.47
O77 0.9101 0.5206 0.7456  1 S 1.55
O78 0.6681 0.8855 0.8628  1 S 1.46
O79 0.5568 0.4476 0.8620  1 S 1.46
O80 0.5960 0.1796 0.0853  1 S 1.49
O81 0.7327 0.1445 0.5347  1 S 1.46
O82 0.4104 0.8008 0.5871  1 S 1.50
O83 0.5905 0.4911 0.2613  1 S 1.54
O84 0.4144 0.8468 0.9060  1 S 1.56
O85 0.5667 0.6692 0.7575  1 S 1.47
O86 0.9304 0.5108 0.4174  1 S 1.49
S26 0.8090 0.9540 0.4153  4 O 1.46-1.56
Ca11 0.6667 0.6669 0.0107  6 O 2.33-2.45
Ge2 0.9858 0.0085 0.8487  3 O 1.78-1.92
S27 0.3483 0.6961 0.2500  4 O 1.48-1.49
O87 0.9253 0.3114 0.2396  1 S 1.48
O88 0.6471 0.8714 0.9640  1 S 1.49
Si2 0.8495 0.7070 0.2527  4 O 1.57-1.70
O89 0.5905 0.2126 0.4070  1 S 1.47
O90 0.8927 0.9691 0.4093  1 S 1.46
O91 0.3391 0.5478 0.5316  1 S 1.48
Ge3 0.4878 0.0101 0.8481  3 O 1.78-1.98
O92 0.4973 0.2142 0.3045  1 S 1.46
Ge4 0.8370 0.3256 0.6909  2 O 1.80-2.01
Ca12 0.5050 0.0094 0.1533  6 O 2.27-2.35
Ca13 0.0027 0.9963 0.6518  6 O 2.16-2.32
O93 0.7366 0.1396 0.2494  1 S 1.48
O94 0.9273 0.3189 0.9180  1 S 1.47
O95 0.7573 0.6485 0.5847  1 S 1.50
Na13 0.3460 0.6648 0.4143  4 O 2.40-2.57
S28 0.6815 0.3350 0.0842  4 O 1.48-1.49
O96 0.6736 0.4905 0.0795  1 S 1.48
Si3 0.8553 0.0138 0.7454  4 O 1.62-1.73
S29 0.1404 0.9980 0.2448  4 O 1.46-1.53
O97 0.6071 0.0263 0.5902  1 S 1.47
O98 0.6127 0.1829 0.8013  1 S 1.51
O99 0.8130 0.1210 0.4130  1 S 1.47
Ca14 0.8318 0.3316 0.1795  6 O 2.21-2.41
O100 0.5621 0.4853 0.5853  1 S 1.48
S30 0.6933 0.0495 0.5860  4 O 1.46-1.53
O101 0.0564 0.4480 0.8623  1 S 1.45
Na14 0.3312 0.3228 0.3297  6 O 2.61-2.81
O102 0.9094 0.7958 0.5891  1 S 1.49
O103 0.8297 0.5134 0.2414  1 Si 1.62
O104 0.2315 0.1419 0.5356  1 S 1.46
O105 0.3253 0.1087 0.1342  1 S 1.47
O106 0.7255 0.3439 0.1380  1 S 1.49
O107 0.7440 0.3649 0.4123  1 S 1.47
O108 0.0641 0.4179 0.9639  1 S 1.47
O109 0.4864 0.8033 0.0873  1 S 1.50
O110 0.5221 0.2424 0.2042  1 S 1.49
O111 0.3932 0.7964 0.1995  1 S 1.48
S31 0.1920 0.0461 0.5868  4 O 1.46-1.52
O112 0.2732 0.6666 0.8658  1 S 1.46
O113 0.1608 0.4614 0.7565  1 S 1.47
S32 0.5148 0.3485 0.9119  4 O 1.46-1.57
O114 0.6897 0.8798 0.5839  1 S 1.50
O115 0.2922 0.7076 0.9675  1 S 1.49
Ge5 0.9808 0.9811 0.1562  3 O 1.77-1.96
O116 0.6601 0.4662 0.4616  1 S 1.46
O117 0.3300 0.1385 0.4200  1 S 1.47
O118 0.9476 0.5592 0.1413  1 S 1.47
O119 0.9350 0.5774 0.0392  1 S 1.47
Ca15 0.4987 0.0009 0.3477  6 O 2.19-2.30
Ca16 0.0016 0.9999 0.3511  6 O 2.10-2.31
O120 0.7546 0.8607 0.3625  1 S 1.56
O121 0.9311 0.3486 0.6404  1 S 1.53
Ge6 0.6831 0.6858 0.3162  4 O 1.80-1.99
O122 0.0768 0.4637 0.2454  1 S 1.49
Na15 0.5097 0.0149 0.9966  6 O 2.56-2.80
O123 0.2454 0.1325 0.6386  1 S 1.52
O124 0.1429 0.8340 0.2468  1 S 1.50
O125 0.1114 0.1812 0.8018  1 S 1.50
O126 0.1459 0.8728 0.9635  1 S 1.48
O127 0.5765 0.9820 0.9060  1 S 1.53
O128 0.6022 0.9571 0.2032  1 S 1.47
O129 0.5104 0.1707 0.9060  1 S 1.57
Na16 0.6664 0.6647 0.6752  5 O 2.49-2.78
Ca17 0.1680 0.6678 0.3157  6 O 2.22-2.43
O130 0.7596 0.8478 0.7526  1 Si 1.64
O131 0.4346 0.5145 0.4141  1 S 1.50
O132 0.4332 0.3473 0.6395  1 S 1.51
O133 0.0873 0.1646 0.0945  1 S 1.50
O134 0.0726 0.6802 0.0830  1 S 1.48
O135 0.9800 0.7774 0.8016  1 S 1.49
O136 0.7406 0.3059 0.7458  1 S 1.54
S33 0.1736 0.3186 0.0871  4 O 1.47-1.51
Ca18 0.3343 0.3321 0.1817  6 O 2.22-2.37
O137 0.2665 0.8753 0.3685  1 S 1.47
O138 0.4424 0.5358 0.1344  1 S 1.47
Na17 0.0011 0.9998 0.9986  6 O 2.65-2.75
O139 0.7465 0.1356 0.6383  1 S 1.53
O140 0.0755 0.9816 0.9053  1 S 1.53
Na18 0.8357 0.9649 0.5918  5 O 2.36-2.48
O141 0.0563 0.6573 0.3620  1 S 1.49
O142 0.7916 0.7123 0.9635  1 S 1.47
O143 0.2576 0.6527 0.5829  1 S 1.50
O144 0.2390 0.3049 0.7468  1 S 1.54

## Properties
Symmetry = No. 1
DFT total energy = -6.166 eV/atom
Crystal system = triclinic
Formation energy from the elements = -2.32 eV/atom